VASP calculation (GGA+U) on a geometry-optimized CoPO4 structure.

POSCAR file:
```
CoPO4
1.0
10.382 0.000 0.000
-5.191 8.991 0.000
0.000 0.000 24.728
Co P O
24 24 96
Direct
0.115 0.810 0.000
0.148 0.315 0.996
0.165 0.367 0.302
0.167 0.852 0.329
0.190 0.305 0.667
0.202 0.835 0.636
0.305 0.115 0.833
0.315 0.167 0.163
0.320 0.654 0.858
0.334 0.680 0.191
0.346 0.666 0.524
0.367 0.202 0.469
0.633 0.798 0.969
0.654 0.334 0.024
0.666 0.320 0.691
0.680 0.346 0.358
0.685 0.833 0.663
0.695 0.885 0.333
0.798 0.165 0.136
0.810 0.695 0.167
0.833 0.148 0.829
0.835 0.633 0.802
0.852 0.685 0.496
0.885 0.190 0.500
0.116 0.791 0.873
0.131 0.345 0.176
0.144 0.839 0.203
0.161 0.305 0.870
0.209 0.325 0.540
0.214 0.869 0.509
0.305 0.144 0.037
0.318 0.672 0.992
0.325 0.116 0.707
0.328 0.646 0.658
0.345 0.214 0.343
0.354 0.682 0.325
0.646 0.318 0.825
0.655 0.786 0.843
0.672 0.354 0.158
0.675 0.884 0.207
0.682 0.328 0.492
0.695 0.856 0.537
0.786 0.131 0.009
0.791 0.675 0.040
0.839 0.695 0.370
0.856 0.161 0.703
0.869 0.655 0.676
0.884 0.209 0.373
0.000 0.308 0.137
0.000 0.692 0.637
0.005 0.735 0.375
0.007 0.208 0.339
0.013 0.831 0.171
0.048 0.296 0.545
0.049 0.828 0.507
0.056 0.731 0.931
0.086 0.362 0.234
0.091 0.776 0.261
0.164 0.687 0.845
0.169 0.182 0.837
0.172 0.222 0.174
0.182 0.013 0.004
0.192 0.511 0.002
0.201 0.993 0.672
0.202 0.746 0.174
0.208 0.201 0.505
0.222 0.049 0.341
0.222 0.494 0.684
0.224 0.315 0.928
0.231 0.735 0.491
0.233 0.531 0.350
0.248 0.952 0.878
0.254 0.456 0.840
0.265 0.269 0.041
0.265 0.496 0.157
0.269 0.005 0.208
0.269 0.325 0.598
0.272 0.778 0.017
0.276 0.914 0.568
0.291 0.643 0.597
0.296 0.248 0.712
0.298 0.767 0.683
0.308 0.000 0.470
0.308 0.308 0.303
0.313 0.476 0.512
0.315 0.091 0.094
0.319 0.808 0.335
0.325 0.056 0.764
0.353 0.709 0.931
0.357 0.647 0.264
0.362 0.276 0.401
0.456 0.202 0.007
0.469 0.702 0.016
0.476 0.164 0.678
0.489 0.681 0.668
0.494 0.272 0.851
0.496 0.231 0.324
0.504 0.769 0.824
0.506 0.728 0.351
0.511 0.319 0.168
0.524 0.836 0.178
0.531 0.298 0.516
0.544 0.798 0.507
0.638 0.724 0.901
0.643 0.353 0.764
0.647 0.291 0.431
0.675 0.944 0.264
0.681 0.192 0.835
0.685 0.909 0.594
0.687 0.524 0.012
0.692 0.000 0.970
0.692 0.692 0.803
0.702 0.233 0.183
0.704 0.752 0.212
0.709 0.357 0.097
0.724 0.086 0.068
0.728 0.222 0.517
0.731 0.675 0.098
0.731 0.995 0.708
0.735 0.504 0.657
0.735 0.731 0.541
0.746 0.544 0.340
0.752 0.048 0.378
0.767 0.469 0.850
0.769 0.265 0.991
0.776 0.685 0.428
0.778 0.506 0.184
0.778 0.951 0.841
0.792 0.799 0.005
0.798 0.254 0.674
0.799 0.007 0.172
0.808 0.489 0.502
0.818 0.987 0.504
0.828 0.778 0.674
0.831 0.818 0.337
0.836 0.313 0.345
0.909 0.224 0.761
0.914 0.638 0.734
0.944 0.269 0.431
0.951 0.172 0.007
0.952 0.704 0.045
0.987 0.169 0.671
0.993 0.792 0.839
0.995 0.265 0.875
```

## Properties
energy relative to the elements	-12.422	eV per formula unit
space-group type	P6_5, No. 170